## NbCr3Ag2S8 (PBE)

Data for an optimized crystal structure of NbCr3Ag2S8.

Lattice parameters (Å, degrees): 7.205 7.205 7.205 61.50 61.50 61.50
Sites, in units of the cell vectors:
Nb 0.000 0.000 0.000
Cr 0.000 0.000 0.500
Cr 0.000 0.500 0.000
Cr 0.500 0.000 0.000
Ag 0.374 0.374 0.374
Ag 0.626 0.626 0.626
S 0.212 0.759 0.759
S 0.233 0.233 0.233
S 0.241 0.241 0.788
S 0.241 0.788 0.241
S 0.759 0.212 0.759
S 0.759 0.759 0.212
S 0.767 0.767 0.767
S 0.788 0.241 0.241

As for the distance to the lowest polymorph of the same formula: 9 meV/atom. The calculated total energy is -6.162 eV/atom. As for the symmetry: R-3m (166). For the energy relative to the elements, the calculation gives -0.891 eV per atom.